(1)
# ReOs3 PBE relaxed
data_ReOs3
_chemical_formula_sum 'Re2 Os6'
_symmetry_space_group_name_H-M 'P 63/m m c'
_symmetry_Int_Tables_number 194
_symmetry_space_group_name_Hall '-P 6c 2c'
_cell_length_a 5.5371
_cell_length_b 5.5371
_cell_length_c 4.3694
_cell_angle_alpha 90.00
_cell_angle_beta 90.00
_cell_angle_gamma 120.00
loop_
_atom_site_label
_atom_site_type_symbol
_atom_site_fract_x
_atom_site_fract_y
_atom_site_fract_z
Re1 Re 0.3333 0.6667 0.2500
Os1 Os 0.1673 0.3346 0.7500
# DFT total energy	-11.617	eV per atom
# formation energy from the elements	-2.0	kcal/mol of atoms

***

(2)
# ReOsRu PBE relaxed
data_ReOsRu
_chemical_formula_sum 'Re4 Os4 Ru4'
_symmetry_space_group_name_H-M 'F -4 3 m'
_symmetry_Int_Tables_number 216
_symmetry_space_group_name_Hall 'F -4 2 3'
_cell_length_a 5.921
_cell_length_b 5.921
_cell_length_c 5.921
_cell_angle_alpha 90.00
_cell_angle_beta 90.00
_cell_angle_gamma 90.00
loop_
_atom_site_label
_atom_site_type_symbol
_atom_site_fract_x
_atom_site_fract_y
_atom_site_fract_z
Re1 Re 0.000 0.000 0.000
Os1 Os 0.250 0.250 0.250
Ru1 Ru 0.000 0.000 0.500
# DFT total energy	-10.290	eV per atom
# formation energy from the elements	16.0	kcal/mol of atoms

***

(3)
# Ti2ReOs PBE relaxed
data_Ti2ReOs
_chemical_formula_sum 'Ti8 Re4 Os4'
_symmetry_space_group_name_H-M 'F m -3 m'
_symmetry_Int_Tables_number 225
_symmetry_space_group_name_Hall '-F 4 2 3'
_cell_length_a 6.209
_cell_length_b 6.209
_cell_length_c 6.209
_cell_angle_alpha 90.00
_cell_angle_beta 90.00
_cell_angle_gamma 90.00
loop_
_atom_site_label
_atom_site_type_symbol
_atom_site_fract_x
_atom_site_fract_y
_atom_site_fract_z
Ti1 Ti 0.250 0.250 0.250
Re1 Re 0.000 0.000 0.000
Os1 Os 0.000 0.000 0.500
# DFT total energy	-10.428	eV per atom
# formation energy from the elements	-13.0	kcal/mol of atoms

***

(4)
# Ti2ReOs PBE relaxed
data_Ti2ReOs
_chemical_formula_sum 'Ti2 Re1 Os1'
_symmetry_space_group_name_H-M 'P 4/m m m'
_symmetry_Int_Tables_number 123
_symmetry_space_group_name_Hall '-P 4 2'
_cell_length_a 3.103
_cell_length_b 3.103
_cell_length_c 6.234
_cell_angle_alpha 90.00
_cell_angle_beta 90.00
_cell_angle_gamma 90.00
loop_
_atom_site_label
_atom_site_type_symbol
_atom_site_fract_x
_atom_site_fract_y
_atom_site_fract_z
Ti1 Ti 0.000 0.000 0.249
Re1 Re 0.500 0.500 0.500
Os1 Os 0.500 0.500 0.000
# DFT total energy	-10.433	eV per atom
# formation energy from the elements	-13.1	kcal/mol of atoms